Entry 1:
## Ba2B5HO10 (GGA-PBE)

Data for a relaxed structure of Ba2B5HO10.

Uncorrected energy in eV for the cell shown: -544.0
Total magnetization in μB per formula unit: 0.00
Formation energy from the elements in kJ/mol of atoms: -282.78
Symmetry: P2_1/c (14)

Geometry as POSCAR:
```
Ba2B5HO10
1.0
-4.6325 -6.7942 -3.0125
3.9617 -0.3048 -5.4045
9.5826 -9.3860 6.4331
B O Ba H
20 40 8 4
direct
0.3273 0.4610 0.1914
0.8273 0.5390 0.3086
0.6856 0.8337 0.9219
0.6912 0.0535 0.0499
0.2365 0.7906 0.6104
0.1727 0.4610 0.6914
0.3144 0.1663 0.0781
0.8088 0.0535 0.5499
0.8144 0.8337 0.4219
0.1912 0.9465 0.4501
0.9548 0.4386 0.8252
0.6727 0.5390 0.8086
0.5452 0.4386 0.3252
0.2635 0.7906 0.1104
0.4548 0.5614 0.6748
0.7365 0.2094 0.8896
0.1856 0.1663 0.5781
0.7635 0.2094 0.3896
0.3088 0.9465 0.9501
0.0452 0.5614 0.1748
0.5437 0.4268 0.6132
0.8093 0.8601 0.5148
0.1918 0.7852 0.5136
0.1508 0.3545 0.6011
0.6885 0.0743 0.1387
0.8324 0.5621 0.7807
0.0678 0.3695 0.7587
0.3959 0.7381 0.6238
0.0437 0.5732 0.8868
0.7834 0.9917 0.3618
0.8492 0.6455 0.3989
0.9322 0.6305 0.2413
0.6918 0.2148 0.9864
0.2834 0.0083 0.1382
0.1676 0.4379 0.2193
0.1885 0.9257 0.3613
0.8082 0.2148 0.4864
0.6041 0.2619 0.3762
0.8686 0.3296 0.3322
0.3115 0.9257 0.8613
0.1041 0.7381 0.1238
0.9563 0.4268 0.1132
0.5678 0.6305 0.7413
0.2166 0.0083 0.6382
0.3082 0.7852 0.0136
0.1907 0.1399 0.4852
0.3686 0.6704 0.1678
0.8115 0.0743 0.6387
0.4322 0.3695 0.2587
0.8959 0.2619 0.8762
0.6907 0.8601 0.0148
0.3093 0.1399 0.9852
0.3324 0.4379 0.7193
0.6314 0.3296 0.8322
0.1314 0.6704 0.6678
0.6676 0.5621 0.2807
0.6508 0.6455 0.8989
0.4563 0.5732 0.3868
0.7166 0.9917 0.8618
0.3492 0.3545 0.1011
0.0122 0.9549 0.7791
0.4878 0.9549 0.2791
0.6532 0.5002 0.1067
0.8468 0.5002 0.6067
0.9878 0.0451 0.2209
0.5122 0.0451 0.7209
0.3468 0.4998 0.8933
0.1532 0.4998 0.3933
0.9875 0.6009 0.9412
0.5125 0.6009 0.4412
0.0125 0.3991 0.0588
0.4875 0.3991 0.5588
```

=====

Entry 2:
## MgBi2O4 (GGA-PBE)

Data for a relaxed structure of MgBi2O4.

Uncorrected energy in eV for the cell shown: -157.1
Total magnetization in μB per formula unit: 0.00
Formation energy from the elements in kJ/mol of atoms: -177.29
Symmetry: Pnma (62)

Geometry as POSCAR:
```
MgBi2O4
1.0
3.3603 0.0000 0.0000
0.0000 10.6719 0.0000
0.0000 0.0000 11.6192
O Bi Mg
16 8 4
direct
0.2500 0.8069 0.0228
0.7500 0.7591 0.7631
0.2500 0.3069 0.4772
0.7500 0.6931 0.5228
0.7500 0.4673 0.2986
0.7500 0.9652 0.5899
0.7500 0.9673 0.2014
0.2500 0.2409 0.2369
0.7500 0.4652 0.9101
0.7500 0.2591 0.7369
0.2500 0.7409 0.2631
0.2500 0.0327 0.7986
0.2500 0.5327 0.7014
0.7500 0.1931 0.9772
0.2500 0.5348 0.0899
0.2500 0.0348 0.4101
0.7500 0.3996 0.1025
0.2500 0.0825 0.1216
0.7500 0.4175 0.6216
0.2500 0.6004 0.8975
0.7500 0.9175 0.8784
0.2500 0.1004 0.6025
0.7500 0.8996 0.3975
0.2500 0.5825 0.3784
0.2500 0.7182 0.6426
0.2500 0.2182 0.8574
0.7500 0.7818 0.1426
0.7500 0.2818 0.3574
```

=====

Entry 3:
## SmP3 (GGA-PBE)

Data for a relaxed structure of SmP3.

Uncorrected energy in eV for the cell shown: -22.2
Total magnetization in μB per formula unit: 0.00
Formation energy from the elements in kJ/mol of atoms: -29.60
Symmetry: I4/mmm (139)

Geometry as POSCAR:
```
SmP3
1.0
3.3645 -0.8585 4.3416
-1.4058 1.9774 5.0020
-2.3193 -2.9452 -4.1052
Sm P
1 3
direct
0.0000 0.0000 0.0000
0.2500 0.7500 0.5000
0.7500 0.2500 0.5000
0.5000 0.5000 0.0000
```

=====

Entry 4:
## SbO2 (GGA-PBE)

Data for a relaxed structure of SbO2.

Uncorrected energy in eV for the cell shown: -72.6
Formation energy from the elements in kJ/mol of atoms: -177.10
Symmetry: C2/c (15)

Geometry as POSCAR:
```
SbO2
1.0
2.4624 6.0995 0.0000
-2.4624 6.0995 0.0000
0.0000 1.2946 5.3558
O Sb
8 4
direct
0.7724 0.8506 0.6862
0.4915 0.3205 0.9664
0.5085 0.6795 0.0336
0.1494 0.2276 0.8138
0.6795 0.5085 0.5336
0.2276 0.1494 0.3138
0.3205 0.4915 0.4664
0.8506 0.7724 0.1862
0.2865 0.7135 0.7500
0.7135 0.2865 0.2500
0.0000 0.5000 0.5000
0.5000 0.0000 0.0000
```